The following is a PBE calculation of a relaxed structure of LiPH2S3N7, from Materials Project.

Computed properties:
density = 1.343 g/cm³
energy = -4.06 eV/atom
SG = P-1
corrected total energy (MP2020 scheme) = -0.15967 hartree per atom

```
LiPH2S3N7
1.0
6.599 0.000 0.000
1.790 6.514 0.000
0.503 1.032 13.475
Li P H S N
2 2 4 6 14
direct
0.105 0.250 0.419 Li
0.895 0.750 0.581 Li
0.478 0.685 0.820 P
0.522 0.315 0.180 P
0.131 0.683 0.852 H
0.293 0.571 0.951 H
0.707 0.429 0.049 H
0.869 0.317 0.148 H
0.276 0.337 0.101 S
0.379 0.896 0.699 S
0.490 0.423 0.324 S
0.510 0.577 0.676 S
0.621 0.104 0.301 S
0.724 0.663 0.899 S
0.011 0.451 0.679 N
0.051 0.197 0.913 N
0.108 0.063 0.291 N
0.199 0.768 0.530 N
0.272 0.662 0.886 N
0.383 0.238 0.496 N
0.439 0.836 0.104 N
0.561 0.164 0.896 N
0.617 0.762 0.504 N
0.728 0.338 0.114 N
0.801 0.232 0.470 N
0.892 0.937 0.709 N
0.949 0.803 0.087 N
0.989 0.549 0.321 N
```